# 1
Material: CrNiP
Method: DFT, PBE
State: relaxed

Cell lengths 5.833, 3.527, 6.826 Å; angles 90.00, 90.00, 90.00 degrees
Fractional positions:
Cr 0.033 0.250 0.171
Cr 0.467 0.750 0.671
Cr 0.533 0.250 0.329
Cr 0.967 0.750 0.829
Ni 0.141 0.250 0.561
Ni 0.359 0.750 0.061
Ni 0.641 0.250 0.939
Ni 0.859 0.750 0.439
P 0.245 0.750 0.373
P 0.255 0.250 0.873
P 0.745 0.750 0.127
P 0.755 0.250 0.627

Values from the calculation:
Spin magnetization   0.866 μB/atom
Symmetry   No. 62
E_tot   -7.464 eV/atom

# 2
Material: CsHSO4
Method: DFT, PBE
State: relaxed

Cell lengths 5.603, 5.946, 7.297 Å; angles 90.00, 100.16, 90.00 degrees
Fractional positions:
Cs 0.014 0.250 0.215
Cs 0.986 0.750 0.785
H 0.500 0.000 0.500
H 0.500 0.500 0.500
S 0.454 0.250 0.741
S 0.546 0.750 0.259
O 0.282 0.750 0.201
O 0.313 0.250 0.889
O 0.378 0.043 0.617
O 0.378 0.457 0.617
O 0.622 0.543 0.383
O 0.622 0.957 0.383
O 0.687 0.750 0.111
O 0.718 0.250 0.799

Values from the calculation:
Spin magnetization   0.000 μB/atom
Symmetry   No. 11
E_tot   -5.592 eV/atom

# 3
Material: Al3GaN4
Method: DFT, PBE
State: relaxed

Cell lengths 4.432, 4.432, 4.432 Å; angles 90.00, 90.00, 90.00 degrees
Fractional positions:
Al 0.000 0.000 0.500
Al 0.000 0.500 0.000
Al 0.500 0.000 0.000
Ga 0.500 0.500 0.500
N 0.244 0.244 0.756
N 0.244 0.756 0.244
N 0.756 0.244 0.244
N 0.756 0.756 0.756

Values from the calculation:
Piezoelectric modulus e_max   0.402 C/m²
Symmetry   No. 215
E_tot   -7.105 eV/atom

Question: What is the E_tot in the third record?
Answer: -7.105 eV/atom